Entry 1:
VASP calculation (PBE) on LuSiO3 after structural relaxation.

Unit cell a=3.6804 b=3.6804 c=3.6804 alpha=90.00 beta=90.00 gamma=90.00
Positions (direct):
Lu1 0.0000 0.0000 0.0000
Si1 0.5000 0.5000 0.5000
O1 0.5000 0.5000 0.0000
O2 0.5000 0.0000 0.5000
O3 0.0000 0.5000 0.5000

Results
calculated formation energy: -2.716 eV/atom
space-group type: Pm-3m (221)

Entry 2:
VASP calculation (PBE) on K2B4O7 after structural relaxation.

Unit cell a=6.5669 b=9.7972 c=10.5491 alpha=89.19 beta=102.63 gamma=100.99
Positions (direct):
O1 0.9487 0.1834 0.3580
B1 0.5498 0.8461 0.2693
K1 0.6643 0.4814 0.8756
O2 0.6529 0.1311 0.8143
B2 0.8126 0.6873 0.2529
O3 0.3471 0.8689 0.1857
O4 0.8591 0.7431 0.8112
O5 0.1409 0.2569 0.1888
O6 0.2327 0.4453 0.8261
O7 0.3112 0.3144 0.4120
K2 0.3357 0.5186 0.1244
B3 0.6747 0.7046 0.4560
O8 0.2069 0.8971 0.8641
B4 0.1874 0.3127 0.7471
B5 0.8047 0.0900 0.2675
B6 0.8909 0.7040 0.6859
B7 0.3253 0.2954 0.5440
K3 0.7866 0.3747 0.4988
B8 0.0638 0.7729 0.9059
O9 0.6519 0.7666 0.1963
B9 0.9362 0.2271 0.0941
O10 0.0187 0.7952 0.0323
O11 0.9631 0.2377 0.7408
B10 0.4502 0.1539 0.7307
O12 0.8047 0.6530 0.3916
K4 0.7582 0.0035 0.5916
K5 0.2134 0.6253 0.5012
O13 0.4822 0.2254 0.6066
B11 0.1091 0.2960 0.3141
O14 0.0369 0.7623 0.2592
B12 0.1280 0.5553 0.8091
B13 0.8654 0.1947 0.8419
O15 0.1771 0.6516 0.9112
B14 0.1346 0.8053 0.1581
O16 0.3222 0.0133 0.6804
O17 0.9780 0.5704 0.6972
B15 0.1953 0.9100 0.7325
K6 0.3589 0.1230 0.0392
B16 0.8720 0.4447 0.1909
O18 0.9813 0.2048 0.9677
K7 0.6411 0.8770 0.9608
O19 0.5178 0.7746 0.3934
O20 0.6888 0.6856 0.5880
O21 0.6778 0.9867 0.3196
O22 0.0513 0.8166 0.6420
K8 0.2418 0.9965 0.4084
O23 0.7931 0.1029 0.1359
O24 0.0220 0.4296 0.3028
O25 0.8229 0.3484 0.0888
O26 0.3481 0.2334 0.8037
O27 0.7673 0.5547 0.1739
O28 0.1953 0.3470 0.6084

Results
calculated formation energy: -2.775 eV/atom
space-group type: P-1 (2)

Entry 3:
VASP calculation (PBE) on SiO2 after structural relaxation.

Unit cell a=5.0682 b=5.0682 c=5.0682 alpha=127.67 beta=124.59 gamma=79.69
Positions (direct):
O1 0.6058 0.9146 0.3087
O2 0.1058 0.2971 0.1913
O3 0.8942 0.7029 0.8087
Si1 0.7500 0.0000 0.7500
O4 0.3942 0.0854 0.6913
Si2 0.2500 0.0000 0.2500

Results
calculated formation energy: -2.830 eV/atom
space-group type: Ibam (72)

Entry 4:
VASP calculation (PBE) on LaSnAu after structural relaxation.

Unit cell a=4.8112 b=4.8112 c=7.9342 alpha=90.00 beta=90.00 gamma=120.00
Positions (direct):
Sn1 0.6667 0.3333 0.9181
Au1 0.6667 0.3333 0.4930
La1 0.0000 0.0000 0.6958
Sn2 0.3333 0.6667 0.4181
Au2 0.3333 0.6667 0.9930
La2 0.0000 0.0000 0.1958

Results
calculated formation energy: -0.868 eV/atom
space-group type: P6_3mc (186)

Entry 5:
VASP calculation (PBE) on LiS after structural relaxation.

Unit cell a=4.2988 b=4.2988 c=4.2988 alpha=139.26 beta=139.26 gamma=58.97
Positions (direct):
S1 0.7500 0.2500 0.5000
Li1 0.5000 0.5000 0.0000

Results
calculated formation energy: -0.876 eV/atom
space-group type: I-4m2 (119)

Entry 6:
VASP calculation (PBE) on Sb6O13 after structural relaxation.

Unit cell a=7.3843 b=7.3843 c=7.3843 alpha=120.60 beta=120.46 gamma=89.08
Positions (direct):
Sb1 0.7478 0.4983 0.7505
O1 0.4166 0.3248 0.4843
Sb2 0.2488 0.9855 0.7367
Sb3 0.2479 0.9992 0.2486
O2 0.6792 0.6792 0.0000
O3 0.8405 0.3248 0.9082
O4 0.8405 0.9323 0.5157
O5 0.4166 0.9323 0.0918
O6 0.6547 0.0600 0.9812
O7 0.4282 0.9282 0.5000
Sb4 0.7506 0.9992 0.7514
O8 0.8152 0.3152 0.5000
O9 0.0788 0.0600 0.4054
O10 0.6547 0.6735 0.5946
O11 0.0679 0.0679 0.0000
O12 0.0788 0.6735 0.0188
O13 0.1617 0.6617 0.5000
Sb5 0.2488 0.5121 0.2633
Sb6 0.7478 0.9973 0.2495

Results
calculated formation energy: -1.776 eV/atom
space-group type: Imm2 (44)

Entry 7:
VASP calculation (PBE) on Bi2Te2S after structural relaxation.

Unit cell a=23.4278 b=4.4452 c=11.8655 alpha=127.51 beta=169.21 gamma=51.90
Positions (direct):
Bi1 0.1359 0.5601 0.9965
Bi2 0.8641 0.4399 0.0035
S1 0.0000 0.0000 0.0000
Te1 0.6772 0.9655 0.0023
Te2 0.3228 0.0345 0.9977

Results
calculated formation energy: -0.106 eV/atom
space-group type: P-1 (2)

Entry 8:
VASP calculation (PBE) on AlTl2Cu3Se4 after structural relaxation.

Unit cell a=3.9856 b=3.9856 c=14.9919 alpha=90.00 beta=90.00 gamma=90.00
Positions (direct):
Cu1 0.5000 0.5000 0.5000
Se1 0.0000 0.5000 0.6054
Se2 0.5000 0.0000 0.1004
Cu2 0.0000 0.0000 0.5000
Al1 0.5000 0.5000 0.0000
Tl1 0.0000 0.5000 0.2933
Cu3 0.0000 0.0000 0.0000
Se3 0.0000 0.5000 0.8996
Tl2 0.5000 0.0000 0.7067
Se4 0.5000 0.0000 0.3946

Results
calculated formation energy: -0.546 eV/atom
space-group type: P-4m2 (115)

Entry 9:
VASP calculation (PBE) on U2S2O19 after structural relaxation.

Unit cell a=8.9338 b=8.9338 c=11.8150 alpha=74.06 beta=74.06 gamma=71.76
Positions (direct):
O1 0.0841 0.9279 0.3889
O2 0.5756 0.7059 0.3046
O3 0.3437 0.7584 0.0370
O4 0.5656 0.4344 0.2500
O5 0.2941 0.4244 0.1954
U1 0.8114 0.8633 0.7171
O6 0.4013 0.3114 0.5939
O7 0.5987 0.6886 0.4061
U2 0.1367 0.1886 0.7829
S1 0.0862 0.7526 0.4410
O8 0.2416 0.6563 0.4630
S2 0.2474 0.9138 0.0590
U3 0.8633 0.8114 0.2171
O9 0.3114 0.4013 0.0939
O10 0.9159 0.0721 0.6111
O11 0.6294 0.9331 0.6601
O12 0.0333 0.6945 0.3530
O13 0.4344 0.5656 0.7500
O14 0.9667 0.3055 0.6470
O15 0.9279 0.0841 0.8889
O16 0.0721 0.9159 0.1111
O17 0.7059 0.5756 0.8046
O18 0.9549 0.7507 0.5526
O19 0.3055 0.9667 0.1470
O20 0.4244 0.2941 0.6954
O21 0.4174 0.6742 0.6540
O22 0.0669 0.3706 0.8399
O23 0.2319 0.0273 0.7050
O24 0.3706 0.0669 0.3399
O25 0.3258 0.5826 0.8460
U4 0.1886 0.1367 0.2829
O26 0.6742 0.4174 0.1540
O27 0.0273 0.2319 0.2050
O28 0.2493 0.0451 0.9474
O29 0.7584 0.3437 0.5370
S3 0.9138 0.2474 0.5590
O30 0.5826 0.3258 0.3460
O31 0.7507 0.9549 0.0526
O32 0.9331 0.6294 0.1601
O33 0.9727 0.7681 0.7950
O34 0.6945 0.0333 0.8530
O35 0.7681 0.9727 0.2950
S4 0.7526 0.0862 0.9410
O36 0.6886 0.5987 0.9061
O37 0.0451 0.2493 0.4474
O38 0.6563 0.2416 0.9630

Results
calculated formation energy: -1.386 eV/atom
space-group type: C2/c (15)

Entry 10:
VASP calculation (PBE) on Pr2Pd2Pb after structural relaxation.

Unit cell a=8.1057 b=8.1057 c=3.8043 alpha=90.00 beta=90.00 gamma=90.00
Positions (direct):
Pd1 0.8775 0.3775 0.0000
Pr1 0.1763 0.3237 0.5000
Pd2 0.6225 0.8775 0.0000
Pd3 0.1225 0.6225 0.0000
Pd4 0.3775 0.1225 0.0000
Pr2 0.6763 0.1763 0.5000
Pr3 0.8237 0.6763 0.5000
Pr4 0.3237 0.8237 0.5000
Pb1 0.5000 0.5000 0.0000
Pb2 0.0000 0.0000 0.0000

Results
calculated formation energy: -0.775 eV/atom
space-group type: P4/mbm (127)

Entry 11:
VASP calculation (PBE) on Sr2Al3Ge after structural relaxation.

Unit cell a=4.4199 b=4.4199 c=9.6285 alpha=90.00 beta=90.00 gamma=120.00
Positions (direct):
Al1 0.0000 0.0000 0.0000
Al2 0.6667 0.3333 0.5000
Al3 0.0000 0.0000 0.5000
Sr1 0.3333 0.6667 0.2517
Sr2 0.3333 0.6667 0.7483
Ge1 0.6667 0.3333 0.0000

Results
calculated formation energy: -0.335 eV/atom
space-group type: P-6m2 (187)

Entry 12:
VASP calculation (PBE) on HgH10C3Br3N after structural relaxation.

Unit cell a=14.9241 b=8.3168 c=9.0766 alpha=88.79 beta=90.00 gamma=90.00
Positions (direct):
H1 0.8941 0.4815 0.7837
Hg1 0.2857 0.1533 0.7334
Br1 0.8334 0.7500 0.4572
H2 0.5613 0.3341 0.1386
H3 0.8781 0.0386 0.7680
Br2 0.5435 0.8293 0.3191
Br3 0.1666 0.2500 0.5428
H4 0.6731 0.8101 0.8364
H5 0.3941 0.0185 0.2163
Hg2 0.2143 0.6533 0.7334
Br4 0.2307 0.9354 0.9355
H6 0.3269 0.1899 0.1636
C1 0.9970 0.7566 0.1222
Br5 0.6666 0.2500 0.4572
Hg3 0.7857 0.3467 0.2666
Hg4 0.7143 0.8467 0.2666
Br6 0.2693 0.4354 0.9355
H7 0.1059 0.5185 0.2163
H8 0.1637 0.6298 0.3545
H9 0.9751 0.6357 0.0935
H10 0.0249 0.3643 0.9065
H11 0.5069 0.8048 0.6576
H12 0.6219 0.5386 0.7680
N1 0.5491 0.7546 0.7370
C2 0.3711 0.1377 0.2483
H13 0.4751 0.8643 0.9065
Br7 0.0435 0.6707 0.6809
H14 0.9590 0.1929 0.9639
H15 0.5162 0.5165 0.6756
H16 0.4387 0.6659 0.8614
H17 0.0410 0.8071 0.0361
H18 0.6097 0.6048 0.5792
C3 0.6289 0.8623 0.7517
C4 0.4239 0.4084 0.3141
H19 0.5249 0.1357 0.0935
H20 0.5410 0.6929 0.9639
C5 0.5761 0.5916 0.6859
N2 0.0491 0.7454 0.2630
H21 0.3363 0.1298 0.3545
Br8 0.3334 0.7500 0.5428
C6 0.9239 0.0916 0.6859
Br9 0.9565 0.3293 0.3191
Br10 0.7307 0.5646 0.0645
C7 0.0761 0.9084 0.3141
H22 0.1731 0.6899 0.1636
C8 0.8711 0.3623 0.7517
H23 0.8363 0.3702 0.6455
C9 0.1289 0.6377 0.2483
H24 0.6059 0.9815 0.7837
H25 0.8269 0.3101 0.8364
Br11 0.7693 0.0646 0.0645
C10 0.5030 0.2566 0.1222
H26 0.8903 0.1048 0.5792
N3 0.4509 0.2454 0.2630
Br12 0.4565 0.1707 0.6809
H27 0.1219 0.9614 0.2320
H28 0.4838 0.4835 0.3244
H29 0.1097 0.8952 0.4208
N4 0.9509 0.2546 0.7370
H30 0.4590 0.3071 0.0361
C11 0.4970 0.7434 0.8778
H31 0.3903 0.3952 0.4208
H32 0.6637 0.8702 0.6455
H33 0.3781 0.4614 0.2320
H34 0.9931 0.3048 0.6576
H35 0.0613 0.1659 0.8614
H36 0.0162 0.9835 0.3244
C12 0.0030 0.2434 0.8778
H37 0.0069 0.6952 0.3424
H38 0.9838 0.0165 0.6756
H39 0.4931 0.1952 0.3424
H40 0.9387 0.8341 0.1386

Results
calculated formation energy: -0.318 eV/atom
space-group type: P2_1/c (14)

Entry 13:
VASP calculation (PBE) on CeTlSe2 after structural relaxation.

Unit cell a=6.7266 b=6.7266 c=6.7266 alpha=108.38 beta=110.02 gamma=110.02
Positions (direct):
Se1 0.5000 0.1986 0.3014
Se2 0.8971 0.6986 0.1986
Tl1 0.0000 0.2500 0.2500
Tl2 0.0000 0.7500 0.7500
Se3 0.1029 0.3014 0.8014
Ce1 0.5000 0.2500 0.7500
Se4 0.5000 0.8014 0.6986
Ce2 0.5000 0.7500 0.2500

Results
calculated formation energy: -1.325 eV/atom
space-group type: I4/mcm (140)

Entry 14:
VASP calculation (PBE) on Lu2MgHg after structural relaxation.

Unit cell a=5.1971 b=5.1971 c=5.1971 alpha=60.00 beta=60.00 gamma=60.00
Positions (direct):
Hg1 0.0000 0.0000 0.0000
Lu1 0.2500 0.2500 0.2500
Lu2 0.7500 0.7500 0.7500
Mg1 0.5000 0.5000 0.5000

Results
calculated formation energy: -0.238 eV/atom
space-group type: Fm-3m (225)

Entry 15:
VASP calculation (PBE) on Ba4Sm2Cu2O9 after structural relaxation.

Unit cell a=12.0511 b=12.0511 c=3.8917 alpha=90.00 beta=90.00 gamma=90.00
Positions (direct):
O1 0.7572 0.7428 0.7500
O2 0.9091 0.4091 0.7500
Sm1 0.8895 0.6105 0.7500
O3 0.4750 0.7919 0.7497
O4 0.7428 0.2428 0.2500
Ba1 0.1133 0.8280 0.7409
O5 0.9750 0.7081 0.2497
Cu1 0.5968 0.9032 0.7500
O6 0.7081 0.0250 0.7503
Ba2 0.6720 0.3867 0.7591
Ba3 0.3280 0.6133 0.7591
Ba4 0.6133 0.6720 0.2409
O7 0.0000 0.0000 0.5000
Ba5 0.1720 0.1133 0.2591
Sm2 0.1105 0.3895 0.7500
Ba6 0.8280 0.8867 0.2591
Cu2 0.9032 0.4032 0.2500
Sm3 0.3895 0.8895 0.2500
O8 0.5250 0.2081 0.7497
Cu3 0.4032 0.0968 0.7500
Sm4 0.6105 0.1105 0.2500
O9 0.2428 0.2572 0.7500
O10 0.5909 0.9091 0.2500
O11 0.0250 0.2919 0.2497
O12 0.2081 0.4750 0.2503
O13 0.4091 0.0909 0.2500
O14 0.5000 0.5000 0.0000
Ba7 0.3867 0.3280 0.2409
O15 0.7919 0.5250 0.2503
O16 0.0909 0.5909 0.7500
O17 0.2572 0.7572 0.2500
O18 0.2919 0.9750 0.7503
Ba8 0.8867 0.1720 0.7409
Cu4 0.0968 0.5968 0.2500

Results
calculated formation energy: -2.737 eV/atom
space-group type: P-4n2 (118)

Entry 16:
VASP calculation (PBE) on Zr2Ti3Ga3 after structural relaxation.

Unit cell a=5.5827 b=7.8407 c=7.8407 alpha=59.96 beta=90.00 gamma=90.00
Positions (direct):
Ga1 0.7500 0.6164 0.3836
Ti1 0.2500 0.9999 0.7653
Ti2 0.2500 0.7657 0.2343
Ti3 0.7500 0.0001 0.2347
Zr1 0.0000 0.3333 0.3334
Zr2 0.0000 0.6666 0.6667
Ga2 0.7500 0.9999 0.6164
Ga3 0.2500 0.0001 0.3836
Ti4 0.2500 0.2347 0.0001
Ga4 0.7500 0.3836 0.0001
Ga5 0.2500 0.3836 0.6164
Zr3 0.5000 0.3334 0.3333
Ti5 0.7500 0.7653 0.9999
Zr4 0.5000 0.6667 0.6666
Ti6 0.7500 0.2343 0.7657
Ga6 0.2500 0.6164 0.9999

Results
calculated formation energy: -0.333 eV/atom
space-group type: P6_3/mcm (193)